{
  "formula": "Na10Sc4Si7Sn4S5O48",
  "functional": "GGA-PBE",
  "state": "relaxed",
  "lattice_angstrom": [[9.081, 0.000, 0.000], [-0.016, 15.627, 0.000], [-0.010, -0.471, 22.752]],
  "species": ["Na", "Na", "Na", "Na", "Na", "Na", "Na", "Na", "Na", "Na", "Na", "Na", "Na", "Na", "Na", "Na", "Na", "Na", "Na", "Na", "Na", "Na", "Na", "Na", "Na", "Na", "Na", "Na", "Na", "Na", "Sc", "Sc", "Sc", "Sc", "Sc", "Sc", "Sc", "Sc", "Sc", "Sc", "Sc", "Sc", "Si", "Si", "Si", "Si", "Si", "Si", "Si", "Si", "Si", "Si", "Si", "Si", "Si", "Si", "Si", "Si", "Si", "Si", "Si", "Si", "Si", "Sn", "Sn", "Sn", "Sn", "Sn", "Sn", "Sn", "Sn", "Sn", "Sn", "Sn", "Sn", "S", "S", "S", "S", "S", "S", "S", "S", "S", "S", "S", "S", "S", "S", "S", "O", "O", "O", "O", "O", "O", "O", "O", "O", "O", "O", "O", "O", "O", "O", "O", "O", "O", "O", "O", "O", "O", "O", "O", "O", "O", "O", "O", "O", "O", "O", "O", "O", "O", "O", "O", "O", "O", "O", "O", "O", "O", "O", "O", "O", "O", "O", "O", "O", "O", "O", "O", "O", "O", "O", "O", "O", "O", "O", "O", "O", "O", "O", "O", "O", "O", "O", "O", "O", "O", "O", "O", "O", "O", "O", "O", "O", "O", "O", "O", "O", "O", "O", "O", "O", "O", "O", "O", "O", "O", "O", "O", "O", "O", "O", "O", "O", "O", "O", "O", "O", "O", "O", "O", "O", "O", "O", "O", "O", "O", "O", "O", "O", "O", "O", "O", "O", "O", "O", "O", "O", "O", "O", "O", "O", "O", "O", "O", "O", "O", "O", "O", "O", "O", "O", "O", "O", "O", "O", "O", "O", "O", "O", "O"],
  "fractional_positions": [[0.000, 0.000, 0.000], [0.000, 0.334, 0.669], [0.052, 0.004, 0.659], [0.055, 0.645, 0.656], [0.058, 0.312, 0.991], [0.181, 0.811, 0.493], [0.184, 0.145, 0.156], [0.188, 0.505, 0.159], [0.351, 0.982, 0.243], [0.354, 0.321, 0.909], [0.364, 0.655, 0.575], [0.368, 0.661, 0.078], [0.376, 0.322, 0.415], [0.388, 0.981, 0.743], [0.500, 0.500, 0.000], [0.552, 0.502, 0.659], [0.552, 0.837, 0.327], [0.558, 0.477, 0.328], [0.559, 0.812, 0.991], [0.681, 0.312, 0.494], [0.684, 0.644, 0.159], [0.689, 0.004, 0.159], [0.736, 0.000, 0.503], [0.854, 0.822, 0.909], [0.857, 0.478, 0.245], [0.858, 0.156, 0.580], [0.868, 0.161, 0.077], [0.875, 0.485, 0.747], [0.881, 0.822, 0.413], [0.999, 0.667, 0.337], [0.363, 0.333, 0.766], [0.370, 0.993, 0.099], [0.371, 0.660, 0.434], [0.374, 0.997, 0.601], [0.375, 0.331, 0.265], [0.378, 0.662, 0.932], [0.860, 0.835, 0.766], [0.862, 0.163, 0.435], [0.867, 0.497, 0.597], [0.869, 0.494, 0.099], [0.875, 0.833, 0.267], [0.877, 0.162, 0.932], [0.016, 0.642, 0.498], [0.017, 0.310, 0.832], [0.019, 0.975, 0.165], [0.073, 0.997, 0.500], [0.074, 0.328, 0.165], [0.165, 0.498, 0.999], [0.165, 0.829, 0.666], [0.223, 0.475, 0.665], [0.224, 0.810, 0.333], [0.230, 0.141, 0.997], [0.509, 0.141, 0.497], [0.518, 0.475, 0.165], [0.518, 0.811, 0.834], [0.569, 0.497, 0.499], [0.572, 0.829, 0.166], [0.663, 0.327, 0.665], [0.665, 0.998, 0.999], [0.666, 0.662, 0.331], [0.720, 0.975, 0.664], [0.722, 0.308, 0.333], [0.730, 0.640, 0.998], [0.352, 0.997, 0.398], [0.357, 0.329, 0.062], [0.365, 0.669, 0.729], [0.383, 0.331, 0.562], [0.384, 0.667, 0.229], [0.384, 0.995, 0.895], [0.856, 0.165, 0.729], [0.856, 0.496, 0.398], [0.858, 0.830, 0.062], [0.875, 0.167, 0.229], [0.883, 0.829, 0.563], [0.884, 0.495, 0.895], [0.019, 0.684, 0.164], [0.021, 0.349, 0.496], [0.022, 0.015, 0.830], [0.075, 0.661, 0.830], [0.164, 0.161, 0.330], [0.219, 0.848, 0.996], [0.220, 0.515, 0.329], [0.225, 0.184, 0.664], [0.518, 0.184, 0.163], [0.518, 0.849, 0.496], [0.522, 0.515, 0.830], [0.575, 0.161, 0.831], [0.718, 0.017, 0.330], [0.719, 0.348, 0.996], [0.721, 0.684, 0.664], [0.046, 0.491, 0.659], [0.047, 0.818, 0.325], [0.050, 0.155, 0.991], [0.050, 0.839, 0.720], [0.057, 0.841, 0.003], [0.058, 0.507, 0.335], [0.059, 0.174, 0.669], [0.061, 0.469, 0.942], [0.067, 0.170, 0.381], [0.067, 0.507, 0.059], [0.070, 0.803, 0.604], [0.077, 0.144, 0.274], [0.163, 0.644, 0.774], [0.168, 0.303, 0.104], [0.172, 0.968, 0.441], [0.173, 0.007, 0.558], [0.173, 0.669, 0.881], [0.180, 0.669, 0.169], [0.182, 0.338, 0.502], [0.185, 0.008, 0.835], [0.188, 0.340, 0.219], [0.192, 0.661, 0.493], [0.193, 0.996, 0.159], [0.195, 0.318, 0.827], [0.239, 0.903, 0.944], [0.241, 0.567, 0.274], [0.244, 0.238, 0.611], [0.245, 0.412, 0.720], [0.249, 0.082, 0.055], [0.252, 0.753, 0.391], [0.257, 0.237, 0.325], [0.258, 0.082, 0.332], [0.260, 0.915, 0.659], [0.263, 0.738, 0.668], [0.274, 0.410, 0.001], [0.274, 0.579, 0.991], [0.286, 0.224, 0.717], [0.286, 0.763, 0.989], [0.287, 0.098, 0.658], [0.288, 0.557, 0.380], [0.290, 0.430, 0.324], [0.290, 0.888, 0.049], [0.297, 0.094, 0.938], [0.304, 0.434, 0.606], [0.307, 0.237, 0.001], [0.307, 0.767, 0.274], [0.312, 0.569, 0.673], [0.316, 0.904, 0.336], [0.422, 0.568, 0.169], [0.431, 0.236, 0.502], [0.432, 0.906, 0.835], [0.442, 0.432, 0.105], [0.442, 0.765, 0.774], [0.443, 0.099, 0.435], [0.447, 0.098, 0.158], [0.448, 0.765, 0.490], [0.449, 0.892, 0.547], [0.454, 0.224, 0.216], [0.454, 0.429, 0.826], [0.458, 0.557, 0.883], [0.470, 0.581, 0.492], [0.471, 0.406, 0.499], [0.473, 0.740, 0.166], [0.476, 0.916, 0.159], [0.478, 0.756, 0.892], [0.479, 0.083, 0.834], [0.484, 0.238, 0.826], [0.486, 0.419, 0.223], [0.489, 0.076, 0.550], [0.492, 0.566, 0.776], [0.496, 0.236, 0.110], [0.500, 0.902, 0.442], [0.544, 0.324, 0.327], [0.545, 0.990, 0.658], [0.550, 0.654, 0.991], [0.551, 0.677, 0.384], [0.552, 0.342, 0.719], [0.555, 0.006, 0.334], [0.557, 0.341, 0.003], [0.558, 0.668, 0.669], [0.560, 0.969, 0.943], [0.568, 0.007, 0.059], [0.572, 0.636, 0.269], [0.574, 0.308, 0.602], [0.664, 0.143, 0.776], [0.670, 0.471, 0.439], [0.671, 0.170, 0.883], [0.672, 0.805, 0.106], [0.673, 0.504, 0.557], [0.676, 0.841, 0.223], [0.680, 0.169, 0.168], [0.681, 0.841, 0.503], [0.685, 0.508, 0.834], [0.690, 0.155, 0.491], [0.692, 0.495, 0.159], [0.696, 0.819, 0.828], [0.739, 0.403, 0.944], [0.742, 0.735, 0.610], [0.747, 0.067, 0.276], [0.750, 0.582, 0.055], [0.756, 0.916, 0.719], [0.758, 0.253, 0.391], [0.769, 0.413, 0.660], [0.769, 0.747, 0.325], [0.773, 0.910, 0.001], [0.774, 0.576, 0.334], [0.775, 0.079, 0.991], [0.778, 0.244, 0.667], [0.782, 0.059, 0.383], [0.785, 0.930, 0.326], [0.786, 0.724, 0.716], [0.787, 0.263, 0.989], [0.790, 0.388, 0.049], [0.791, 0.598, 0.658], [0.794, 0.264, 0.273], [0.797, 0.594, 0.938], [0.799, 0.936, 0.603], [0.803, 0.404, 0.336], [0.807, 0.737, 0.002], [0.818, 0.067, 0.671], [0.926, 0.069, 0.172], [0.930, 0.405, 0.834], [0.930, 0.737, 0.501], [0.942, 0.936, 0.103], [0.945, 0.265, 0.771], [0.947, 0.599, 0.158], [0.949, 0.264, 0.490], [0.951, 0.598, 0.436], [0.954, 0.388, 0.550], [0.954, 0.723, 0.217], [0.955, 0.929, 0.826], [0.957, 0.057, 0.883], [0.964, 0.078, 0.490], [0.964, 0.910, 0.501], [0.975, 0.239, 0.168], [0.976, 0.255, 0.890], [0.978, 0.415, 0.160], [0.980, 0.582, 0.833], [0.983, 0.586, 0.556], [0.983, 0.915, 0.219], [0.984, 0.738, 0.825], [0.991, 0.067, 0.777], [0.995, 0.737, 0.111], [0.996, 0.403, 0.444]],
  "formation_energy_ev_per_fu": -202.3,
  "e_tot_ev_per_atom": -6.6671,
  "sg": "P1 (1)",
  "rho_g_cm3": 3.1
}